No. 1
Entry from Materials Project: crystalline Al5AgS8 at its relaxed geometry (GGA-PBE).

Cell lengths 10.184, 10.184, 10.184 Å; angles 90.00, 90.00, 90.00 degrees
Space group F-43m (No. 216)
Unique sites:
1 Al 0.000 0.000 0.000
2 Al 0.118 0.118 0.382
3 Ag 0.250 0.250 0.750
4 S 0.113 0.113 0.613
5 S 0.133 0.133 0.133

ΔH_f (0 K): -1.229 eV/atom
spin magnetization: 0.0 μB/f.u.

=====

No. 2
Entry from Materials Project: crystalline AlAgS2 at its relaxed geometry (GGA-PBE).

Cell lengths 3.5403, 3.5403, 6.8982 Å; angles 90.00, 90.00, 120.00 degrees
Space group P3m1 (No. 156)
Unique sites:
1 Al 0.0000 0.0000 0.0000
2 Ag 0.3333 0.6667 0.5349
3 S 0.3333 0.6667 0.1804
4 S 0.6667 0.3333 0.7965

piezoelectric modulus e_max: 2.29 C/m2
ΔH_f (0 K): -0.938 eV/atom
spin magnetization: 0.0 μB/f.u.

=====

No. 3
Entry from Materials Project: crystalline AlAgS2 at its relaxed geometry (GGA-PBE).

Cell lengths 3.5454, 3.5454, 20.7988 Å; angles 90.00, 90.00, 120.00 degrees
Space group R3m (No. 160, hexagonal axes)
Unique sites:
1 Al 0.0000 0.0000 0.0000
2 Ag 0.0000 0.0000 0.8437
3 S 0.0000 0.0000 0.2666
4 S 0.0000 0.0000 0.7267

ΔH_f (0 K): -0.924 eV/atom
spin magnetization: 0.0 μB/f.u.

=====

- Number 2 is which compound?
  AlAgS2

=====

What did the third record say?
Entry from Materials Project: crystalline AlAgS2 at its relaxed geometry (GGA-PBE).

Cell lengths 3.5454, 3.5454, 20.7988 Å; angles 90.00, 90.00, 120.00 degrees
Space group R3m (No. 160, hexagonal axes)
Unique sites:
1 Al 0.0000 0.0000 0.0000
2 Ag 0.0000 0.0000 0.8437
3 S 0.0000 0.0000 0.2666
4 S 0.0000 0.0000 0.7267

ΔH_f (0 K): -0.924 eV/atom
spin magnetization: 0.0 μB/f.u.